Entry from the Materials Project: Sm3Sb14Te24 after structural relaxation (PBE).

Cell: 8.1363 8.3779 21.6110 Å, 97.07 96.82 108.13°
Fractional positions:
Te  0.8034  0.7802  0.8789
Te  0.7408  0.7207  0.3740
Te  0.1879  0.0686  0.8310
Sb  0.0442  0.1267  0.6842
Sb  0.8184  0.5529  0.7415
Te  0.2428  0.8645  0.6729
Sb  0.9386  0.1556  0.9155
Te  0.2041  0.6717  0.2996
Sb  0.1543  0.8531  0.4126
Sb  0.3176  0.6075  0.5730
Sm  0.5418  0.2920  0.0763
Te  0.7281  0.8352  0.6803
Sb  0.6552  0.8241  0.0414
Sm  0.4760  0.8478  0.7996
Sb  0.6815  0.9137  0.2775
Te  0.5521  0.0327  0.9539
Sb  0.7766  0.4442  0.2617
Sb  0.4470  0.4006  0.8492
Te  0.1160  0.1117  0.0379
Te  0.8878  0.3859  0.6279
Sb  0.2393  0.0650  0.2395
Te  0.4291  0.4646  0.7164
Sb  0.4520  0.1296  0.6013
Te  0.8528  0.2133  0.1574
Te  0.0381  0.1547  0.3303
Sb  0.3766  0.4983  0.3852
Te  0.5300  0.1570  0.3403
Te  0.7064  0.2194  0.7993
Te  0.8315  0.6741  0.1662
Te  0.4112  0.3942  0.2044
Te  0.5100  0.3975  0.5092
Te  0.5091  0.8722  0.5070
Te  0.0850  0.0895  0.5494
Te  0.1685  0.5726  0.8379
Te  0.3754  0.5135  0.9956
Sb  0.8328  0.6922  0.5545
Sm  0.1755  0.7911  0.9676
Te  0.8637  0.4888  0.9980
Sb  0.0736  0.5123  0.1148
Te  0.4015  0.9044  0.1122
Te  0.0321  0.5394  0.4663

Summary:
Crystal system: triclinic
Symmetry: P1 (1)
Calculated volume in Å³ per atom: 33.4
Corrected total energy (MP2020 scheme) in eV per atom: -4.09
Total magnetic moment in μB per formula unit: 0.0
ΔH_f (0 K) in eV/atom: -0.50